No. 1
The following is a PBE+U calculation of a relaxed structure of Sr6Ti3FeO14, from the Materials Project database.

Cell: 3.9374 3.9374 40.8746 Å, 90.00 90.00 90.00°
Fractional positions:
O  0.5000  0.0000  0.2020
Sr  0.5000  0.5000  0.5002
Sr  0.0000  0.0000  0.7485
Ti  0.0000  0.0000  0.0492
O  0.0000  0.5000  0.0483
O  0.5000  0.5000  0.2495
O  0.5000  0.5000  0.7495
O  0.5000  0.5000  0.8466
Sr  0.0000  0.0000  0.8419
O  0.0000  0.5000  0.2981
Fe  0.5000  0.5000  0.7013
O  0.5000  0.5000  0.1533
Sr  0.0000  0.0000  0.6590
Sr  0.5000  0.5000  0.0002
O  0.0000  0.5000  0.5484
Sr  0.0000  0.0000  0.2487
O  0.5000  0.0000  0.7981
O  0.5000  0.0000  0.9518
O  0.0000  0.5000  0.2020
Sr  0.5000  0.5000  0.9079
Sr  0.0000  0.0000  0.3418
Fe  0.5000  0.5000  0.2013
O  0.0000  0.5000  0.4517
O  0.0000  0.0000  0.9029
O  0.0000  0.5000  0.9518
O  0.0000  0.0000  0.5972
O  0.5000  0.0000  0.5484
Ti  0.5000  0.5000  0.7986
O  0.5000  0.5000  0.3466
O  0.0000  0.0000  0.5000
O  0.0000  0.0000  0.0000
O  0.0000  0.0000  0.0972
Sr  0.0000  0.0000  0.1589
Sr  0.5000  0.5000  0.5927
Ti  0.0000  0.0000  0.9512
Sr  0.5000  0.5000  0.4078
Ti  0.0000  0.0000  0.5492
O  0.0000  0.5000  0.7981
Ti  0.5000  0.5000  0.2986
Sr  0.5000  0.5000  0.0926
O  0.0000  0.5000  0.7020
O  0.5000  0.0000  0.4517
O  0.0000  0.0000  0.4028
O  0.5000  0.0000  0.7020
O  0.5000  0.0000  0.2981
O  0.5000  0.5000  0.6533
Ti  0.0000  0.0000  0.4511
O  0.5000  0.0000  0.0483

* calculated total energy: -176.906 eV/f.u.
* offset from the most stable computed form: 0.000 eV per atom
* energy of formation: -3.22 eV/atom
* size of the total moment: 0.00 μB per cell

No. 2
The following is a PBE+U calculation of a relaxed structure of Sr3TlFe2O8, from the Materials Project database.

Cell: 3.8827 3.8974 12.6873 Å, 90.00 90.00 90.00°
Fractional positions:
O  0.5000  0.6003  0.0000
O  0.5000  0.9982  0.3384
O  0.0000  0.0190  0.8332
O  0.5000  0.9982  0.6616
Fe  0.0000  0.0003  0.6551
O  0.0000  0.5006  0.6620
Sr  0.5000  0.5004  0.5000
Tl  0.0000  0.9381  0.0000
Fe  0.0000  0.0003  0.3449
Sr  0.5000  0.4992  0.1984
O  0.0000  0.0008  0.5000
O  0.0000  0.5006  0.3380
O  0.0000  0.0190  0.1668
Sr  0.5000  0.4992  0.8016

* SG: Pmm2
* calculated total energy: -85.016 eV/f.u.
* energy of formation: -2.22 eV/atom
* size of the total moment: 9.00 μB per cell

No. 3
The following is a PBE+U calculation of a relaxed structure of Sr2YTlFe2O7, from the Materials Project database.

Cell: 3.8730 3.8730 13.0039 Å, 90.00 90.00 90.00°
Fractional positions:
Y  0.5000  0.5000  0.5000
O  0.5000  0.0000  0.6093
O  0.0000  0.5000  0.3907
Sr  0.5000  0.5000  0.1888
O  0.0000  0.5000  0.6093
Sr  0.5000  0.5000  0.8112
Fe  0.0000  0.0000  0.3520
O  0.5000  0.0000  0.3907
O  0.0000  0.0000  0.2055
Tl  0.0000  0.0000  0.0000
O  0.0000  0.0000  0.7945
O  0.5000  0.5000  0.0000
Fe  0.0000  0.0000  0.6480

* SG: P4/mmm
* calculated total energy: -85.723 eV/f.u.
* energy of formation: -2.40 eV/atom
* size of the total moment: 9.71 μB per cell

Question: Which of these has the highest energy of formation?
Answer: Sr3TlFe2O8